Al5Co3O12: optimized geometry, PBE with a Hubbard U.

a = 5.754 Å, b = 5.754 Å, c = 13.990 Å
α = 90.66°, β = 90.66°, γ = 59.87°
Sites, in units of the cell vectors:
1 Al 0.000 0.500 0.000
2 Al 0.163 0.163 0.664
3 Al 0.165 0.671 0.662
4 Al 0.329 0.835 0.338
5 Al 0.339 0.339 0.835
6 Al 0.500 0.000 0.000
7 Al 0.661 0.661 0.165
8 Al 0.671 0.165 0.662
9 Al 0.835 0.329 0.338
10 Al 0.837 0.837 0.336
11 Co 0.010 0.010 0.120
12 Co 0.328 0.328 0.207
13 Co 0.334 0.334 0.455
14 Co 0.666 0.666 0.545
15 Co 0.672 0.672 0.793
16 Co 0.990 0.990 0.880
17 O 0.000 0.000 0.261
18 O 0.000 0.000 0.739
19 O 0.038 0.480 0.746
20 O 0.160 0.640 0.914
21 O 0.162 0.162 0.403
22 O 0.165 0.675 0.402
23 O 0.183 0.183 0.921
24 O 0.323 0.323 0.077
25 O 0.325 0.835 0.598
26 O 0.332 0.332 0.594
27 O 0.360 0.840 0.086
28 O 0.480 0.038 0.746
29 O 0.483 0.483 0.748
30 O 0.517 0.517 0.252
31 O 0.520 0.962 0.254
32 O 0.640 0.160 0.914
33 O 0.668 0.668 0.406
34 O 0.675 0.165 0.402
35 O 0.677 0.677 0.923
36 O 0.817 0.817 0.079
37 O 0.835 0.325 0.598
38 O 0.838 0.838 0.597
39 O 0.840 0.360 0.086
40 O 0.962 0.520 0.254

Results
Energy relative to the elements   -50.714 eV per formula unit
Total moment   0.600 μB per atom
Energy   -273.97 eV per cell

=====

Al2CoO4: optimized geometry, PBE with a Hubbard U.

a = 23.900 Å, b = 23.900 Å, c = 23.900 Å
α = 13.89°, β = 13.89°, γ = 13.89°
Sites, in units of the cell vectors:
1 Al 0.000 0.000 0.000
2 Al 0.017 0.527 0.527
3 Al 0.124 0.124 0.124
4 Al 0.126 0.126 0.620
5 Al 0.126 0.620 0.126
6 Al 0.224 0.724 0.724
7 Al 0.324 0.324 0.824
8 Al 0.324 0.824 0.324
9 Al 0.399 0.399 0.399
10 Al 0.420 0.926 0.926
11 Al 0.524 0.524 0.524
12 Al 0.527 0.017 0.527
13 Al 0.527 0.527 0.017
14 Al 0.620 0.126 0.126
15 Al 0.724 0.224 0.724
16 Al 0.724 0.724 0.224
17 Al 0.824 0.324 0.324
18 Al 0.924 0.924 0.924
19 Al 0.926 0.420 0.926
20 Al 0.926 0.926 0.420
21 Co 0.048 0.048 0.048
22 Co 0.199 0.199 0.199
23 Co 0.249 0.249 0.249
24 Co 0.323 0.323 0.323
25 Co 0.449 0.449 0.449
26 Co 0.600 0.600 0.600
27 Co 0.648 0.648 0.648
28 Co 0.724 0.724 0.724
29 Co 0.799 0.799 0.799
30 Co 0.849 0.849 0.849
31 O 0.053 0.053 0.612
32 O 0.053 0.612 0.053
33 O 0.074 0.577 0.577
34 O 0.077 0.077 0.077
35 O 0.171 0.171 0.171
36 O 0.181 0.181 0.665
37 O 0.181 0.665 0.181
38 O 0.211 0.654 0.654
39 O 0.231 0.797 0.797
40 O 0.253 0.253 0.814
41 O 0.253 0.814 0.253
42 O 0.276 0.276 0.276
43 O 0.373 0.373 0.373
44 O 0.394 0.394 0.836
45 O 0.394 0.836 0.394
46 O 0.400 0.858 0.858
47 O 0.437 0.994 0.994
48 O 0.458 0.458 0.997
49 O 0.458 0.997 0.458
50 O 0.477 0.477 0.477
51 O 0.571 0.571 0.571
52 O 0.577 0.074 0.577
53 O 0.577 0.577 0.074
54 O 0.612 0.053 0.053
55 O 0.654 0.211 0.654
56 O 0.654 0.654 0.211
57 O 0.665 0.181 0.181
58 O 0.676 0.676 0.676
59 O 0.770 0.770 0.770
60 O 0.797 0.231 0.797
61 O 0.797 0.797 0.231
62 O 0.814 0.253 0.253
63 O 0.836 0.394 0.394
64 O 0.858 0.400 0.858
65 O 0.858 0.858 0.400
66 O 0.877 0.877 0.877
67 O 0.974 0.974 0.974
68 O 0.994 0.437 0.994
69 O 0.994 0.994 0.437
70 O 0.997 0.458 0.458

Results
Energy relative to the elements   -19.613 eV per formula unit
E above lowest polymorph   87 meV/atom
Total moment   0.429 μB per atom
Energy   -496.19 eV per cell

=====

- What is the formula in the first record?
  Al5Co3O12